Record 1
MgTa3: relaxed, PBE.

## Properties
Calculated formation energy in eV/atom: 0.307

abc: 4.7157 4.7157 4.7157
angles: 60.00 60.00 60.00
Fractional positions:
Mg1 0.0000 0.0000 0.0000
Ta1 0.2500 0.2500 0.2500
Ta2 0.5000 0.5000 0.5000
Ta3 0.7500 0.7500 0.7500


Record 2
Re2Rh2O5: relaxed, PBE.

## Properties
Energy with MP2020 corrections in eV per atom: -7.769
Calculated formation energy in eV/atom: -0.618

abc: 3.6673 3.6673 7.6749
angles: 90.00 90.00 90.00
Fractional positions:
Re1 0.0000 0.0000 0.1652
Re2 0.0000 0.0000 0.8348
Rh1 0.5000 0.5000 0.0000
Rh2 0.5000 0.5000 0.5000
O1 0.0000 0.0000 0.5000
O2 0.0000 0.5000 0.2509
O3 0.0000 0.5000 0.7491
O4 0.5000 0.0000 0.2509
O5 0.5000 0.0000 0.7491


Record 3
SiO2: relaxed, PBE.

## Properties
Energy with MP2020 corrections in eV per atom: -8.301
Calculated formation energy in eV/atom: -3.194

abc: 10.3427 10.3427 10.3427
angles: 83.91 83.91 83.91
Fractional positions:
Si1 0.0033 0.7647 0.8189
Si2 0.0923 0.7097 0.2866
Si3 0.1190 0.6378 0.5802
Si4 0.1786 0.3594 0.6714
Si5 0.1811 0.9967 0.2353
Si6 0.2353 0.1811 0.9967
Si7 0.2866 0.0923 0.7097
Si8 0.2903 0.7134 0.9077
Si9 0.3286 0.8214 0.6407
Si10 0.3594 0.6714 0.1786
Si11 0.3622 0.4198 0.8810
Si12 0.4198 0.8810 0.3622
Si13 0.5802 0.1190 0.6378
Si14 0.6378 0.5802 0.1190
Si15 0.6407 0.3286 0.8214
Si16 0.6714 0.1786 0.3594
Si17 0.7097 0.2866 0.0923
Si18 0.7134 0.9077 0.2903
Si19 0.7647 0.8189 0.0033
Si20 0.8189 0.0033 0.7647
Si21 0.8214 0.6407 0.3286
Si22 0.8810 0.3622 0.4198
Si23 0.9077 0.2903 0.7134
Si24 0.9967 0.2353 0.1811
O1 0.0193 0.6545 0.7133
O2 0.0399 0.3361 0.7611
O3 0.0534 0.1005 0.2636
O4 0.0639 0.7061 0.4456
O5 0.1005 0.2636 0.0534
O6 0.1216 0.8578 0.2265
O7 0.1422 0.7735 0.8784
O8 0.1531 0.4822 0.5611
O9 0.2209 0.6129 0.2374
O10 0.2265 0.1216 0.8578
O11 0.2374 0.2209 0.6129
O12 0.2389 0.9601 0.6639
O13 0.2467 0.7099 0.5983
O14 0.2636 0.0534 0.1005
O15 0.2867 0.9807 0.3455
O16 0.2901 0.4017 0.7533
O17 0.2939 0.5544 0.9361
O18 0.3361 0.7611 0.0399
O19 0.3455 0.2867 0.9807
O20 0.3871 0.7626 0.7791
O21 0.4017 0.7533 0.2901
O22 0.4389 0.8469 0.5178
O23 0.4456 0.0639 0.7061
O24 0.4822 0.5611 0.1531
O25 0.5178 0.4389 0.8469
O26 0.5544 0.9361 0.2939
O27 0.5611 0.1531 0.4822
O28 0.5983 0.2467 0.7099
O29 0.6129 0.2374 0.2209
O30 0.6545 0.7133 0.0193
O31 0.6639 0.2389 0.9601
O32 0.7061 0.4456 0.0639
O33 0.7099 0.5983 0.2467
O34 0.7133 0.0193 0.6545
O35 0.7364 0.9466 0.8995
O36 0.7533 0.2901 0.4017
O37 0.7611 0.0399 0.3361
O38 0.7626 0.7791 0.3871
O39 0.7735 0.8784 0.1422
O40 0.7791 0.3871 0.7626
O41 0.8469 0.5178 0.4389
O42 0.8578 0.2265 0.1216
O43 0.8784 0.1422 0.7735
O44 0.8995 0.7364 0.9466
O45 0.9361 0.2939 0.5544
O46 0.9466 0.8995 0.7364
O47 0.9601 0.6639 0.2389
O48 0.9807 0.3455 0.2867


Record 4
Pr2SbAu3: relaxed, PBE.

## Properties
Calculated formation energy in eV/atom: -0.796

abc: 3.7273 4.7189 8.4915
angles: 90.00 90.00 90.00
Fractional positions:
Pr1 0.0000 0.0000 0.0000
Pr2 0.0000 0.5000 0.4753
Sb1 0.5000 0.5000 0.8224
Au1 0.5000 0.0000 0.3212
Au2 0.5000 0.0000 0.6470
Au3 0.5000 0.5000 0.1559


Record 5
InNi3N: relaxed, PBE.

## Properties
Energy with MP2020 corrections in eV per atom: -5.841
Calculated formation energy in eV/atom: -0.155

abc: 3.8742 3.8742 3.8742
angles: 90.00 90.00 90.00
Fractional positions:
In1 0.0000 0.0000 0.0000
Ni1 0.0000 0.5000 0.5000
Ni2 0.5000 0.0000 0.5000
Ni3 0.5000 0.5000 0.0000
N1 0.5000 0.5000 0.5000


Record 6
La2Nb2N2O5: relaxed, PBE.

## Properties
Energy with MP2020 corrections in eV per atom: -9.295
Calculated formation energy in eV/atom: -2.797

abc: 5.7119 8.0275 13.7606
angles: 98.38 90.03 90.12
Fractional positions:
La1 0.0000 0.0000 0.0000
La2 0.0095 0.4953 0.9732
La3 0.0211 0.3802 0.4859
La4 0.0879 0.8546 0.4488
La5 0.4947 0.4443 0.7561
La6 0.5080 0.9424 0.7854
La7 0.5266 0.0711 0.2665
La8 0.5849 0.5783 0.3092
Nb1 0.0057 0.1921 0.7632
Nb2 0.0262 0.7828 0.1935
Nb3 0.0377 0.3102 0.1988
Nb4 0.4978 0.2538 0.0000
Nb5 0.4989 0.7389 0.9954
Nb6 0.5303 0.1204 0.5523
Nb7 0.5348 0.6439 0.5503
Nb8 0.9896 0.6899 0.7588
N1 0.1923 0.2829 0.0582
N2 0.1982 0.7498 0.0616
N3 0.3061 0.5907 0.4483
N4 0.4362 0.8998 0.5762
N5 0.5665 0.4942 0.9816
N6 0.6964 0.6958 0.6987
N7 0.7975 0.6327 0.4642
N8 0.9405 0.5456 0.1812
O1 0.0714 0.9456 0.7674
O2 0.0900 0.0511 0.1833
O3 0.1978 0.5946 0.6571
O4 0.1994 0.2213 0.6534
O5 0.2777 0.2519 0.8553
O6 0.2930 0.8064 0.2845
O7 0.2960 0.6792 0.8597
O8 0.3231 0.3396 0.2671
O9 0.3322 0.1294 0.4365
O10 0.4246 0.9935 0.9600
O11 0.5943 0.3917 0.5792
O12 0.6930 0.1552 0.6989
O13 0.7028 0.2150 0.1063
O14 0.7120 0.8376 0.1021
O15 0.7901 0.1788 0.8931
O16 0.7969 0.7683 0.8968
O17 0.8017 0.8547 0.3032
O18 0.8211 0.3054 0.3133
O19 0.8238 0.0954 0.4900
O20 0.9231 0.4462 0.7921


Record 7
Li3Ga14: relaxed, PBE.

## Properties
Calculated formation energy in eV/atom: -0.134

abc: 7.4248 7.4248 7.4248
angles: 69.38 69.38 69.38
Fractional positions:
Li1 0.1799 0.1799 0.6402
Li2 0.1799 0.6402 0.1799
Li3 0.6402 0.1799 0.1799
Ga1 0.1356 0.1356 0.1356
Ga2 0.2357 0.5534 0.5534
Ga3 0.2428 0.7627 0.7627
Ga4 0.3541 0.3541 0.8835
Ga5 0.3541 0.8835 0.3541
Ga6 0.5534 0.2357 0.5534
Ga7 0.5534 0.5534 0.2357
Ga8 0.5729 0.5729 0.8855
Ga9 0.5729 0.8855 0.5729
Ga10 0.7627 0.2428 0.7627
Ga11 0.7627 0.7627 0.2428
Ga12 0.8835 0.3541 0.3541
Ga13 0.8855 0.5729 0.5729
Ga14 0.9810 0.9810 0.9810


Record 8
EuSnP: relaxed, PBE.

## Properties
Calculated formation energy in eV/atom: -0.818

abc: 4.2699 4.2699 8.7349
angles: 90.00 90.00 90.00
Fractional positions:
Eu1 0.2500 0.2500 0.1685
Eu2 0.7500 0.7500 0.8315
Sn1 0.2500 0.2500 0.5496
Sn2 0.7500 0.7500 0.4504
P1 0.2500 0.2500 0.8363
P2 0.7500 0.7500 0.1637


Record 9
BaMg14Mo: relaxed, PBE.

## Properties
Calculated formation energy in eV/atom: 0.202

abc: 6.5367 6.5367 10.3772
angles: 90.00 90.00 120.00
Fractional positions:
Ba1 0.0000 0.0000 0.0000
Mg1 0.0141 0.5071 0.0000
Mg2 0.1662 0.3324 0.2747
Mg3 0.1662 0.3324 0.7253
Mg4 0.1662 0.8338 0.2747
Mg5 0.1662 0.8338 0.7253
Mg6 0.4929 0.5071 0.0000
Mg7 0.4929 0.9859 0.0000
Mg8 0.5040 0.0081 0.5000
Mg9 0.5040 0.4960 0.5000
Mg10 0.6667 0.3333 0.2409
Mg11 0.6667 0.3333 0.7591
Mg12 0.6676 0.8338 0.2747
Mg13 0.6676 0.8338 0.7253
Mg14 0.9919 0.4960 0.5000
Mo1 0.0000 0.0000 0.5000


Record 10
Zr: relaxed, PBE.

## Properties
Calculated formation energy in eV/atom: 0.016

abc: 5.8720 5.8720 5.8720
angles: 124.15 89.78 116.26
Fractional positions:
Zr1 0.1771 0.5824 0.7595
Zr2 0.2500 0.2500 0.0000
Zr3 0.3229 0.0824 0.4053
Zr4 0.6771 0.9176 0.5947
Zr5 0.7500 0.7500 0.0000
Zr6 0.8229 0.4176 0.2404


Record 11
Li2H2BrN: relaxed, PBE.

## Properties
Energy with MP2020 corrections in eV per atom: -3.655
Calculated formation energy in eV/atom: -0.226

abc: 12.6646 7.7972 7.9373
angles: 90.00 90.00 90.00
Fractional positions:
Li1 0.0461 0.0109 0.1914
Li2 0.0461 0.4891 0.1914
Li3 0.0716 0.2500 0.6599
Li4 0.1256 0.7500 0.6866
Li5 0.3744 0.2500 0.1866
Li6 0.4284 0.7500 0.1599
Li7 0.4539 0.5109 0.6914
Li8 0.4539 0.9891 0.6914
Li9 0.5461 0.0109 0.3086
Li10 0.5461 0.4891 0.3086
Li11 0.5716 0.2500 0.8401
Li12 0.6256 0.7500 0.8134
Li13 0.8744 0.2500 0.3134
Li14 0.9284 0.7500 0.3401
Li15 0.9539 0.5109 0.8086
Li16 0.9539 0.9891 0.8086
H1 0.0866 0.0090 0.7275
H2 0.0866 0.4910 0.7275
H3 0.1600 0.5054 0.3708
H4 0.1600 0.9946 0.3708
H5 0.3400 0.0054 0.8708
H6 0.3400 0.4946 0.8708
H7 0.4134 0.5090 0.2275
H8 0.4134 0.9910 0.2275
H9 0.5866 0.0090 0.7725
H10 0.5866 0.4910 0.7725
H11 0.6600 0.5054 0.1292
H12 0.6600 0.9946 0.1292
H13 0.8400 0.0054 0.6292
H14 0.8400 0.4946 0.6292
H15 0.9134 0.5090 0.2725
H16 0.9134 0.9910 0.2725
Br1 0.1522 0.7500 0.3606
Br2 0.1598 0.2500 0.3638
Br3 0.3402 0.7500 0.8638
Br4 0.3478 0.2500 0.8606
Br5 0.6522 0.7500 0.1394
Br6 0.6598 0.2500 0.1362
Br7 0.8402 0.7500 0.6362
Br8 0.8478 0.2500 0.6394
N1 0.0152 0.6759 0.0035
N2 0.0152 0.8241 0.0035
N3 0.4848 0.1759 0.5035
N4 0.4848 0.3241 0.5035
N5 0.5152 0.6759 0.4965
N6 0.5152 0.8241 0.4965
N7 0.9848 0.1759 0.9965
N8 0.9848 0.3241 0.9965